V3O4F2 (PBE+U, relaxed); symmetry = Pnnm, No. 58; excess energy over the best structure of this formula in the dataset = 0.43 eV/f.u.; calculated total energy = -7.3470 eV/atom
1.0
-1.719 0.487 2.398
-1.665 -4.344 -0.311
10.238 -4.514 8.257
F V O
4 6 8
Direct
0.500 0.179 0.101
0.000 0.679 0.399
0.500 0.821 0.899
0.000 0.321 0.601
0.000 0.060 0.825
0.500 0.560 0.675
0.000 0.940 0.175
0.000 0.000 0.500
0.500 0.500 0.000
0.500 0.440 0.325
0.500 0.812 0.567
0.000 0.312 0.933
0.500 0.767 0.235
0.500 0.233 0.765
0.000 0.733 0.735
0.000 0.267 0.265
0.500 0.188 0.433
0.000 0.688 0.067

=====

VOF2 (PBE+U, relaxed); symmetry = P-1, No. 2; calculated total energy = -6.4712 eV/atom
1.0
-2.177 -3.937 -2.623
2.665 3.624 -2.623
11.285 -7.009 1.645
O F V
6 12 6
Direct
0.904 0.665 0.414
0.098 0.760 0.088
0.420 0.415 0.748
0.096 0.335 0.586
0.580 0.585 0.252
0.902 0.240 0.912
0.746 0.096 0.416
0.270 0.350 0.082
0.584 0.990 0.743
0.254 0.904 0.584
0.992 0.414 0.252
0.660 0.730 0.587
0.322 0.057 0.910
0.008 0.586 0.748
0.416 0.010 0.257
0.730 0.650 0.918
0.678 0.943 0.090
0.340 0.270 0.413
0.679 0.398 0.333
0.320 0.687 0.163
0.680 0.313 0.837
0.321 0.602 0.667
0.000 0.000 0.500
0.000 0.000 0.000

=====

VOF3 (PBE+U, relaxed); symmetry = P1, No. 1; calculated total energy = -5.8871 eV/atom
1.0
-1.828 4.773 1.929
-1.765 -1.674 -4.964
-7.966 -5.454 5.044
F O V
12 4 4
Direct
0.730 0.808 0.863
0.708 0.354 0.782
0.228 0.150 0.141
0.681 0.329 0.274
0.172 0.830 0.950
0.277 0.359 0.383
0.842 0.192 0.532
0.305 0.650 0.195
0.218 0.872 0.452
0.811 0.165 0.030
0.324 0.668 0.702
0.254 0.176 0.648
0.751 0.684 0.109
0.774 0.696 0.595
0.259 0.332 0.888
0.748 0.818 0.359
0.524 0.544 0.272
0.957 0.941 0.026
0.976 0.957 0.521
0.460 0.476 0.778

=====

VOF3 (PBE+U, relaxed); symmetry = P2_1/c, No. 14; calculated total energy = -5.9127 eV/atom
1.0
5.382 0.000 0.000
0.000 5.871 0.000
0.000 0.060 9.696
V F O
4 12 4
Direct
0.089 0.331 0.621
0.411 0.331 0.121
0.589 0.669 0.879
0.911 0.669 0.379
0.631 0.357 0.960
0.710 0.554 0.721
0.290 0.446 0.279
0.099 0.890 0.314
0.790 0.554 0.221
0.901 0.110 0.686
0.369 0.643 0.040
0.869 0.357 0.460
0.599 0.110 0.186
0.401 0.890 0.814
0.131 0.643 0.540
0.210 0.446 0.779
0.679 0.797 0.443
0.321 0.203 0.557
0.179 0.203 0.057
0.821 0.797 0.943

=====

V6O5F19 (PBE+U, relaxed); symmetry = P1, No. 1; excess energy over the best structure of this formula in the dataset = 0.13 eV/f.u.; calculated total energy = -5.8422 eV/atom
1.0
-5.377 0.000 0.000
0.304 5.603 0.000
-0.095 -2.663 -14.565
F V O
19 6 5
Direct
0.563 0.801 0.549
0.560 0.477 0.885
0.406 0.546 0.113
0.912 0.605 0.220
0.781 0.655 0.692
0.725 0.785 0.026
0.285 0.205 0.973
0.725 0.126 0.690
0.913 0.304 0.555
0.425 0.184 0.446
0.234 0.350 0.307
0.397 0.890 0.782
0.296 0.517 0.643
0.070 0.393 0.781
0.589 0.095 0.221
0.272 0.863 0.309
0.904 0.961 0.887
0.074 0.689 0.445
0.070 0.072 0.115
0.969 0.734 0.337
0.039 0.277 0.663
0.512 0.819 0.668
0.543 0.467 0.004
0.516 0.224 0.335
0.035 0.955 0.996
0.706 0.469 0.356
0.206 0.724 0.979
0.208 0.039 0.643
0.794 0.970 0.358
0.770 0.303 0.021

=====

V2OF5 (PBE+U, relaxed); symmetry = P1, No. 1; excess energy over the best structure of this formula in the dataset = 0.34 eV/f.u.; calculated total energy = -6.2886 eV/atom
1.0
-2.489 1.758 -3.498
-3.109 -7.687 -1.762
-7.220 -2.552 3.790
F V O
15 6 3
Direct
0.256 0.233 0.884
0.757 0.092 0.452
0.745 0.129 0.753
0.248 0.898 0.551
0.754 0.116 0.118
0.244 0.548 0.908
0.266 0.211 0.571
0.742 0.762 0.121
0.746 0.428 0.785
0.748 0.795 0.420
0.257 0.582 0.203
0.244 0.886 0.883
0.755 0.449 0.451
0.749 0.447 0.103
0.255 0.879 0.240
0.522 0.675 0.984
0.994 0.996 0.673
0.005 0.327 0.006
0.005 0.662 0.338
0.479 0.353 0.657
0.480 0.017 0.328
0.733 0.781 0.801
0.262 0.535 0.551
0.265 0.200 0.220

=====

V2OF5 (PBE+U, relaxed); symmetry = P1, No. 1; excess energy over the best structure of this formula in the dataset = 0.10 eV/f.u.; calculated total energy = -6.3189 eV/atom
1.0
-5.261 0.000 0.000
2.611 4.771 0.000
2.340 -1.074 -17.200
F O V
20 4 8
Direct
0.925 0.974 0.288
0.969 0.691 0.061
0.418 0.912 0.335
0.523 0.549 0.686
0.429 0.214 0.038
0.523 0.064 0.185
0.018 0.807 0.436
0.924 0.463 0.789
0.921 0.658 0.582
0.422 0.721 0.539
0.076 0.534 0.210
0.478 0.443 0.314
0.978 0.195 0.566
0.577 0.284 0.464
0.575 0.796 0.961
0.918 0.178 0.087
0.077 0.031 0.713
0.071 0.832 0.912
0.428 0.417 0.832
0.461 0.933 0.817
0.056 0.326 0.935
0.082 0.340 0.421
0.593 0.582 0.165
0.580 0.078 0.673
0.749 0.872 0.626
0.006 0.487 0.493
0.233 0.597 0.879
0.247 0.131 0.376
0.000 0.013 0.999
0.736 0.398 0.127
0.505 0.227 0.744
0.502 0.751 0.247

=====

V2OF5 (PBE+U, relaxed); symmetry = P1, No. 1; excess energy over the best structure of this formula in the dataset = 0.02 eV/f.u.; calculated total energy = -6.3287 eV/atom
1.0
5.307 0.000 0.000
-2.650 -4.747 0.000
-2.576 0.901 -17.246
O F V
4 20 8
Direct
0.549 0.549 0.691
0.058 0.816 0.433
0.047 0.310 0.941
0.582 0.587 0.173
0.076 0.046 0.712
0.566 0.076 0.664
0.578 0.800 0.962
0.459 0.434 0.318
0.071 0.837 0.914
0.921 0.451 0.789
0.424 0.700 0.539
0.923 0.967 0.289
0.528 0.059 0.187
0.930 0.669 0.586
0.426 0.916 0.330
0.462 0.950 0.810
0.961 0.700 0.060
0.072 0.320 0.414
0.081 0.539 0.211
0.427 0.420 0.837
0.964 0.185 0.563
0.575 0.285 0.461
0.419 0.208 0.040
0.920 0.165 0.086
0.247 0.627 0.875
0.500 0.275 0.745
0.234 0.091 0.379
0.507 0.732 0.244
0.749 0.386 0.125
0.745 0.868 0.626
0.000 0.033 0.995
0.999 0.499 0.498

=====

VOF3 (PBE+U, relaxed); symmetry = P1, No. 1; calculated total energy = -5.8864 eV/atom
1.0
-2.108 4.871 0.614
-4.775 -2.159 1.862
3.050 0.587 9.120
F O V
12 4 4
Direct
0.764 0.790 0.866
0.564 0.502 0.152
0.401 0.994 0.339
0.415 0.485 0.831
0.586 0.983 0.641
0.099 0.234 0.584
0.056 0.735 0.083
0.711 0.059 0.131
0.889 0.241 0.899
0.297 0.450 0.377
0.735 0.539 0.621
0.931 0.742 0.399
0.284 0.949 0.872
0.196 0.193 0.113
0.781 0.294 0.371
0.211 0.695 0.625
0.479 0.781 0.773
0.021 0.036 0.020
0.036 0.534 0.527
0.543 0.263 0.276

=====

VOF2 (PBE+U, relaxed); calculated total energy = -6.4340 eV/atom; maximum piezoelectric response = 4.9 C/m²
1.0
-2.973 0.475 2.205
-0.572 9.253 -2.758
-3.715 -1.543 -4.679
F V O
8 4 4
Direct
0.981 0.868 0.749
0.981 0.868 0.249
0.481 0.368 0.499
0.481 0.368 0.999
0.981 0.126 0.244
0.981 0.126 0.744
0.481 0.626 0.994
0.481 0.626 0.494
0.034 0.997 0.997
0.034 0.997 0.497
0.534 0.497 0.247
0.534 0.497 0.747
0.985 0.497 0.747
0.985 0.497 0.247
0.485 0.997 0.997
0.485 0.997 0.497

=====

V2OF5 (PBE+U, relaxed); symmetry = P1, No. 1; excess energy over the best structure of this formula in the dataset = 0.02 eV/f.u.; calculated total energy = -6.3286 eV/atom
1.0
0.404 -2.284 -4.794
-3.571 -11.882 5.305
-4.629 2.078 1.566
V O F
6 3 15
Direct
0.329 0.672 0.696
0.680 0.336 0.337
0.650 0.832 0.320
0.000 0.495 0.032
0.973 0.006 0.973
0.345 0.165 0.667
0.690 0.081 0.771
0.410 0.748 0.977
0.921 0.419 0.234
0.344 0.421 0.087
0.984 0.745 0.409
0.415 0.251 0.415
0.087 0.580 0.765
0.752 0.914 0.077
0.321 0.919 0.234
0.092 0.079 0.339
0.918 0.916 0.663
0.002 0.249 0.588
0.245 0.587 0.344
0.567 0.748 0.570
0.759 0.420 0.668
0.590 0.251 0.001
0.666 0.584 0.911
0.262 0.081 0.922

=====

V2OF5 (PBE+U, relaxed); symmetry = P1, No. 1; excess energy over the best structure of this formula in the dataset = 0.03 eV/f.u.; calculated total energy = -6.3272 eV/atom
1.0
-4.605 0.834 -2.339
-4.379 -1.944 2.146
-1.689 11.353 7.202
V F O
6 15 3
Direct
0.678 0.665 0.669
0.335 0.315 0.338
0.987 0.995 0.001
0.306 0.354 0.827
0.013 0.003 0.498
0.681 0.667 0.161
0.421 0.577 0.250
0.601 0.990 0.253
0.667 0.275 0.415
0.313 0.928 0.090
0.265 0.664 0.917
0.008 0.400 0.246
0.075 0.261 0.921
0.602 0.394 0.751
0.719 0.338 0.084
0.342 0.734 0.584
0.938 0.335 0.584
0.411 0.991 0.754
0.076 0.678 0.411
0.744 0.932 0.582
0.655 0.082 0.912
0.255 0.104 0.414
0.887 0.752 0.084
0.018 0.567 0.754

=====

Number 1: energy relative to the elements -2.67 eV per atom. Number 2: energy relative to the elements -2.83 eV per atom. Number 3: energy relative to the elements -2.69 eV per atom. Number 4: energy relative to the elements -2.71 eV per atom. Number 5: energy relative to the elements -2.74 eV per atom. Number 6: energy relative to the elements -3.00 eV per atom. Number 7: energy relative to the elements -3.03 eV per atom. Number 8: energy relative to the elements -3.04 eV per atom. Number 9: energy relative to the elements -2.69 eV per atom. Number 10: energy relative to the elements -2.80 eV per atom. Number 11: energy relative to the elements -3.04 eV per atom. Number 12: energy relative to the elements -3.04 eV per atom.